[1]
AcCdAg2: optimized geometry, meta-GGA r2SCAN.

Properties
ΔH_f (0 K): -214 meV per atom
Spin magnetization: 0.0 μB per formula unit
VASP energy: -33.08 eV per atom

Geometry as extended XYZ:
```
4
Lattice="0.0000 3.6935 3.6935 3.6935 0.0000 3.6935 3.6935 3.6935 0.0000" Properties=species:S:1:pos:R:3 pbc="T T T"
Ac 3.6935 3.6935 3.6935
Cd 0.0000 0.0000 0.0000
Ag 1.8468 1.8468 1.8468
Ag 5.5403 5.5403 5.5403
```

[2]
Ac2AgIr: optimized geometry, meta-GGA r2SCAN.

Properties
ΔH_f (0 K): -413 meV per atom
Spin magnetization: 0.0 μB per formula unit
VASP energy: -53.16 eV per atom

Geometry as extended XYZ:
```
4
Lattice="0.0000 3.8048 3.8048 3.8048 0.0000 3.8048 3.8048 3.8048 0.0000" Properties=species:S:1:pos:R:3 pbc="T T T"
Ir 5.7072 5.7072 5.7072
Ac 0.0000 0.0000 0.0000
Ac 3.8048 3.8048 3.8048
Ag 1.9024 1.9024 1.9024
```

[3]
AcAg2Pb: optimized geometry, meta-GGA r2SCAN.

Properties
ΔH_f (0 K): -311 meV per atom
Spin magnetization: 0.0 μB per formula unit
VASP energy: -42.22 eV per atom

Geometry as extended XYZ:
```
4
Lattice="0.0000 3.7375 3.7375 3.7375 0.0000 3.7375 3.7375 3.7375 0.0000" Properties=species:S:1:pos:R:3 pbc="T T T"
Ag 5.6062 5.6062 5.6062
Ag 1.8687 1.8687 1.8687
Pb 0.0000 0.0000 0.0000
Ac 3.7375 3.7375 3.7375
```

[4]
AcAgTe2: optimized geometry, meta-GGA r2SCAN.

Properties
ΔH_f (0 K): -996 meV per atom
Spin magnetization: 0.0 μB per formula unit
VASP energy: -36.20 eV per atom

Geometry as extended XYZ:
```
4
Lattice="0.0000 3.9421 3.9421 3.9421 0.0000 3.9421 3.9421 3.9421 0.0000" Properties=species:S:1:pos:R:3 pbc="T T T"
Te 3.9421 3.9421 3.9421
Te 0.0000 0.0000 0.0000
Ag 5.9131 5.9131 5.9131
Ac 1.9710 1.9710 1.9710
```

[5]
AcYbAg2: optimized geometry, meta-GGA r2SCAN.

Properties
ΔH_f (0 K): -233 meV per atom
Spin magnetization: 0.0 μB per formula unit
VASP energy: -37.20 eV per atom

Geometry as extended XYZ:
```
4
Lattice="-3.2538 2.8182 3.1446 -2.6801 4.1598 -1.9827 -5.2797 -0.3056 -0.6707" Properties=species:S:1:pos:R:3 pbc="T T T"
Ag -8.4102 5.0043 0.3683
Ag -2.8034 1.6681 0.1228
Yb 0.0000 0.0000 0.0000
Ac -5.6068 3.3362 0.2456
```

[6]
AcAl3: optimized geometry, meta-GGA r2SCAN.

Properties
ΔH_f (0 K): -409 meV per atom
Spin magnetization: 0.0 μB per formula unit
VASP energy: -22.62 eV per atom

Geometry as extended XYZ:
```
8
Lattice="6.9807 0.0000 0.0000 -3.4903 6.0455 0.0000 0.0000 0.0000 4.6516" Properties=species:S:1:pos:R:3 pbc="T T T"
Al 0.0000 1.5617 1.1629
Al 2.1378 5.2646 1.1629
Al 5.6282 0.7809 3.4887
Al 3.4903 4.4837 3.4887
Al -2.1378 5.2646 1.1629
Al 1.3525 0.7809 3.4887
Ac 0.0000 4.0303 3.4887
Ac 3.4903 2.0151 1.1629
```